Na2Hf3ZnSi2S4O24: relaxed, PBE-GGA.

Summary:
The electronic total energy is -7.205 eV/atom. The value obtained for the magnetization is 0.000 μB/f.u. As for the formation energy: -95.95 eV/f.u.

a = 8.8969 Å, b = 8.8818 Å, c = 23.2348 Å
α = 89.82°, β = 89.98°, γ = 120.19°
Closest atoms and distances in Å follow each position.
Atoms (fractional coordinates):
O 0.1308 0.6417 0.0813  1 S 1.50
O 0.4861 0.1203 0.6347  1 S 1.49
O 0.8193 0.0217 0.0909  1 S 1.46
S 0.9593 0.3354 0.5827  4 O 1.45-1.51
S 0.3731 0.0432 0.5835  4 O 1.44-1.51
O 0.1488 0.6910 0.4672  1 S 1.48
O 0.1506 0.9651 0.9090  1 Si 1.62
O 0.8487 0.3124 0.5305  1 S 1.51
O 0.4964 0.1496 0.9228  1 Si 1.64
O 0.3113 0.8427 0.9756  1 Si 1.63
Na 0.3623 0.6778 0.6716  3 O 2.36-2.58
O 0.3124 0.4657 0.7555  1 S 1.49
O 0.4698 0.1579 0.2452  1 S 1.53
O 0.6415 0.5115 0.9237  1 S 1.48
Si 0.0389 0.3772 0.9162  4 O 1.62-1.64
O 0.3629 0.8693 0.8613  1 Si 1.63
O 0.5099 0.8244 0.7559  1 Si 1.65
O 0.6920 0.1507 0.0327  1 S 1.49
O 0.1518 0.6803 0.7557  1 S 1.50
O 0.4864 0.3533 0.4241  1 S 1.49
O 0.6539 0.1578 0.4241  1 Si 1.64
O 0.2071 0.0343 0.5882  1 S 1.44
O 0.1603 0.4631 0.9735  1 Si 1.64
O 0.3620 0.5155 0.0811  1 Si 1.64
O 0.3085 0.8410 0.2544  1 S 1.47
O 0.7035 0.5357 0.2451  1 S 1.53
O 0.9778 0.7908 0.8007  1 S 1.47
O 0.4656 0.1466 0.5308  1 S 1.50
Zn 0.9590 0.9657 0.6489  2 O 1.85-1.94
O 0.9863 0.1878 0.5855  1 S 1.45
O 0.5426 0.6938 0.9691  1 S 1.48
O 0.8533 0.5360 0.0327  1 S 1.47
O 0.8418 0.3092 0.2473  1 S 1.51
O 0.2094 0.1821 0.8006  1 S 1.50
S 0.6680 0.0426 0.0846  4 O 1.46-1.52
O 0.7833 0.9708 0.6898  1 Si 1.59
Hf 0.3529 0.6743 0.5211  3 O 1.92-2.13
S 0.7116 0.7115 0.2474  4 O 1.45-1.53
O 0.7964 0.8213 0.9102  1 S 1.47
O 0.9666 0.7932 0.0909  1 S 1.46
O 0.5337 0.8406 0.4713  1 Si 1.65
O 0.3521 0.8648 0.5763  1 S 1.51
O 0.1276 0.5023 0.5745  1 S 1.50
S 0.3328 0.3761 0.4152  4 O 1.46-1.50
O 0.8524 0.3659 0.9251  1 Si 1.62
O 0.6476 0.5064 0.6395  1 Si 1.63
Na 0.0296 0.0234 0.0016  3 O 2.35-2.57
Hf 0.9996 0.0135 0.8546  5 O 1.96-2.18
O 0.6486 0.1339 0.1369  1 S 1.52
Na 0.6728 0.3094 0.8359  4 O 2.50-2.79
O 0.1874 0.9793 0.1980  1 S 1.46
O 0.4934 0.6410 0.5775  1 Si 1.68
Hf 0.3331 0.6765 0.8155  4 O 1.92-2.14
Hf 0.6579 0.3347 0.1846  3 O 1.88-2.07
O 0.0285 0.8268 0.4080  1 S 1.51
O 0.7973 0.8162 0.1967  1 S 1.45
O 0.8741 0.3566 0.6343  1 S 1.48
Zn 0.3434 0.6828 0.3183  1 O 1.88
Si 0.6753 0.6296 0.5836  4 O 1.60-1.68
O 0.0149 0.1825 0.9117  1 Si 1.64
O 0.2092 0.0233 0.3022  1 S 1.50
O 0.9795 0.1836 0.3027  1 S 1.52
O 0.8484 0.8164 0.5831  1 Si 1.60
Hf 0.6686 0.3353 0.4817  5 O 1.93-2.15
S 0.2888 0.9951 0.2492  4 O 1.46-1.53
S 0.0445 0.6664 0.4150  4 O 1.46-1.51
O 0.8714 0.5116 0.1371  1 S 1.52
O 0.3008 0.4535 0.4673  1 S 1.49
O 0.8185 0.9804 0.4074  1 Si 1.67
S 0.6220 0.6670 0.9169  4 O 1.47-1.48
Si 0.6222 0.9617 0.4133  4 O 1.59-1.67
Zn 0.0190 0.0175 0.1452  3 O 1.91-2.14
O 0.8414 0.5331 0.7433  1 S 1.52
O 0.6839 0.1718 0.7436  1 Si 1.67
Na 0.9808 0.9875 0.5094  1 O 2.19
O 0.6811 0.5249 0.5261  1 Si 1.65
S 0.9549 0.6249 0.0841  4 O 1.46-1.52
S 0.0022 0.7116 0.7488  4 O 1.46-1.52
O 0.8634 0.5161 0.4231  1 S 1.50
O 0.5341 0.6807 0.2542  1 S 1.47
O 0.3603 0.4782 0.3630  1 S 1.46
O 0.0357 0.8146 0.6964  1 S 1.46
O 0.1888 0.2091 0.6956  1 S 1.45
Hf 0.6536 0.3213 0.9779  5 O 1.95-2.15
Si 0.3670 0.3335 0.0832  4 O 1.61-1.69
O 0.1582 0.4715 0.2589  1 S 1.47
O 0.5116 0.8839 0.3563  1 Si 1.59
O 0.1340 0.4880 0.8589  1 Si 1.62
S 0.0052 0.2978 0.2503  4 O 1.46-1.52
O 0.4902 0.3551 0.1413  1 Si 1.69, 1 Hf 1.88
O 0.8234 0.0218 0.8056  1 Si 1.64
O 0.1787 0.1600 0.0867  1 Si 1.61
O 0.4672 0.3088 0.7442  1 S 1.52
O 0.1776 0.1959 0.4095  1 S 1.50
Hf 0.3222 0.6563 0.0190  3 O 1.91-2.05
O 0.4749 0.3194 0.0287  1 Si 1.63
O 0.5156 0.6383 0.8651  1 S 1.47
Si 0.3248 0.9535 0.9179  4 O 1.62-1.64
Hf 0.6651 0.3332 0.6886  6 O 1.98-2.17
Na 0.6640 0.3137 0.3356  5 O 2.45-2.72
Na 0.3360 0.6569 0.1664  6 O 2.42-2.71
S 0.2874 0.2886 0.7474  4 O 1.45-1.52
O 0.8191 0.7956 0.3010  1 S 1.52
O 0.1137 0.6317 0.3630  1 S 1.46
Si 0.7055 0.9963 0.7481  4 O 1.59-1.67
O 0.0249 0.2160 0.1986  1 S 1.46
Hf 0.9914 0.9985 0.3531  5 O 1.93-2.15
O 0.5046 0.8736 0.0811  1 S 1.48

Na8HfZn3Si3S3O24: relaxed, PBE-GGA.

Summary:
The electronic total energy is -6.090 eV/atom. The value obtained for the magnetization is 0.000 μB/f.u. As for the formation energy: -100.49 eV/f.u.

a = 9.1655 Å, b = 9.1868 Å, c = 22.3283 Å
α = 89.00°, β = 90.34°, γ = 119.22°
Closest atoms and distances in Å follow each position.
Atoms (fractional coordinates):
O 0.8289 0.0019 0.4100  1 Si 1.64
O 0.6457 0.1542 0.4226  1 Si 1.67
S 0.2969 0.0015 0.2498  4 O 1.49-1.50
Zn 0.3306 0.6875 0.3373  2 O 1.90-1.91
O 0.6355 0.5058 0.9213  1 S 1.51
Na 0.3220 0.6538 0.1601  2 O 2.32-2.39
O 0.8868 0.3617 0.6389  1 S 1.48
O 0.4753 0.3607 0.1466  1 Si 1.63
O 0.6911 0.1508 0.0312  1 S 1.53
O 0.1816 0.0335 0.5895  1 Si 1.65
Na 0.0527 0.3490 0.0817  5 O 2.45-2.65
O 0.1934 0.9806 0.1955  1 S 1.49
O 0.4617 0.1566 0.5274  1 Si 1.68
Zn 0.9776 0.9758 0.6440  4 O 1.98-2.18
O 0.8881 0.5109 0.1457  1 Si 1.63
O 0.4906 0.3559 0.4212  1 S 1.53
O 0.1295 0.4912 0.8580  1 Si 1.67
O 0.1823 0.1709 0.0860  1 Si 1.65
Na 0.9800 0.3460 0.7501  3 O 2.37-2.65
Na 0.6622 0.6881 0.0853  3 O 2.40-2.60
S 0.9995 0.2901 0.2489  4 O 1.49-1.50
O 0.9631 0.8108 0.0869  1 Si 1.65
O 0.1892 0.2021 0.4085  1 S 1.49
Na 0.3084 0.2830 0.9212  6 O 2.44-2.72
O 0.3667 0.8752 0.8602  1 Si 1.68
Na 0.6779 0.3326 0.3363  5 O 2.43-2.67
O 0.8499 0.3593 0.9216  1 Si 1.67
O 0.6892 0.5285 0.5277  1 Si 1.67
O 0.5216 0.8739 0.0780  1 S 1.47
Na 0.3542 0.6834 0.6552  2 O 2.25-2.27
O 0.3377 0.8467 0.5820  1 Si 1.64
O 0.3651 0.5143 0.0787  1 Si 1.64
O 0.5491 0.6909 0.9712  1 S 1.45
O 0.5025 0.1532 0.9214  1 Si 1.67
Si 0.3315 0.9652 0.9192  4 O 1.61-1.68
O 0.1522 0.6593 0.0834  1 Si 1.63
O 0.3116 0.4715 0.7586  1 S 1.53
Hf 0.6629 0.3331 0.4835  6 O 1.97-2.18
Na 0.9909 0.9802 0.5018  4 O 2.36-2.58
O 0.1524 0.6890 0.4742  1 Si 1.62
S 0.3332 0.3726 0.4156  4 O 1.46-1.53
Zn 0.0169 0.9994 0.1440  4 O 2.02-2.24
Si 0.6608 0.6242 0.5857  4 O 1.64-1.67
O 0.8510 0.3121 0.5310  1 S 1.52
Na 0.3254 0.0099 0.4210  3 O 2.43-2.62
O 0.0082 0.1787 0.9141  1 Si 1.63
S 0.6249 0.6651 0.9185  4 O 1.45-1.51
O 0.6389 0.1161 0.1393  1 S 1.48
O 0.5164 0.8273 0.7563  1 Si 1.72
O 0.4693 0.3237 0.7486  1 S 1.49
O 0.8430 0.4971 0.4224  1 Si 1.68
O 0.3124 0.8466 0.2532  1 S 1.50
O 0.4681 0.1508 0.2450  1 S 1.50
Zn 0.9856 0.9827 0.3546  4 O 1.98-2.20
Na 0.3701 0.3688 0.2454  5 O 2.43-2.56
O 0.7826 0.8091 0.1948  1 S 1.49
O 0.1014 0.6133 0.3545  1 Si 1.65
O 0.3065 0.4471 0.4687  1 S 1.46
O 0.0247 0.8354 0.4104  1 Si 1.65
Zn 0.2942 0.6475 0.0172  4 O 1.93-2.12
O 0.6425 0.5158 0.6471  1 Si 1.64
Na 0.6291 0.9962 0.2571  5 O 2.34-2.56
O 0.1595 0.6860 0.7572  1 S 1.54
O 0.0176 0.2076 0.1947  1 S 1.49
Zn 0.6702 0.3530 0.1692  2 O 1.88-1.89
O 0.8296 0.8085 0.5827  1 Si 1.64
S 0.7032 0.7047 0.2494  4 O 1.49-1.50
O 0.5171 0.6394 0.8638  1 S 1.51
Hf 0.3353 0.6791 0.8176  5 O 1.94-2.13
Zn 0.6513 0.3166 0.6732  3 O 1.91-2.13
O 0.0353 0.8103 0.6980  1 S 1.47
O 0.1290 0.4817 0.5764  1 S 1.47
O 0.1539 0.4442 0.9750  1 Si 1.61
O 0.6898 0.5351 0.2473  1 S 1.50
O 0.5598 0.8448 0.4719  1 Si 1.62
Na 0.6447 0.6441 0.7353  2 O 2.31-2.53
O 0.4644 0.3045 0.0276  1 Si 1.68
Na 0.9879 0.6776 0.9198  4 O 2.43-2.71
O 0.1611 0.9779 0.9089  1 Si 1.64
O 0.4801 0.1073 0.6453  1 Si 1.63
O 0.9808 0.7831 0.8064  1 S 1.47
Na 0.2844 0.9563 0.0774  5 O 2.39-2.63
S 0.0024 0.7062 0.7523  4 O 1.47-1.54
Si 0.3684 0.3383 0.0854  4 O 1.63-1.68
Zn 0.3543 0.7080 0.5156  3 O 1.94-2.03
Na 0.9652 0.2999 0.4130  4 O 2.39-2.62
O 0.4862 0.6318 0.5797  1 Si 1.64
O 0.6865 0.1708 0.7466  1 Si 1.66
O 0.8440 0.3065 0.2467  1 S 1.50
S 0.2965 0.2996 0.7515  4 O 1.46-1.53
O 0.8392 0.5322 0.0276  1 Si 1.69
Hf 0.6651 0.3340 0.9834  6 O 1.99-2.20
Na 0.7108 0.0412 0.9077  5 O 2.38-2.63
O 0.3083 0.8513 0.9778  1 Si 1.61
O 0.3648 0.4775 0.3601  1 S 1.50
O 0.7912 0.9649 0.6918  1 Si 1.63
O 0.5313 0.6838 0.2540  1 S 1.50
Na 0.7121 0.6885 0.4233  7 O 2.52-2.82
Si 0.9625 0.6313 0.0864  4 O 1.63-1.69
Si 0.0360 0.3678 0.9175  4 O 1.61-1.67
O 0.7956 0.8057 0.9095  1 S 1.48
Na 0.3115 0.3353 0.5836  3 O 2.39-2.61
O 0.9747 0.1804 0.5871  1 S 1.48
O 0.8235 0.0295 0.0887  1 S 1.48
O 0.8566 0.5360 0.7472  1 S 1.49
Si 0.7093 0.0024 0.7500  4 O 1.63-1.72
Na 0.0422 0.7157 0.5756  5 O 2.37-2.63
O 0.8153 0.0251 0.8115  1 Si 1.63
O 0.5245 0.8960 0.3534  1 Si 1.65
Na 0.6529 0.9464 0.5843  6 O 2.50-2.68
Si 0.3617 0.0346 0.5867  4 O 1.63-1.68
Zn 0.0047 0.0225 0.8509  4 O 1.95-2.11
Na 0.6692 0.3145 0.8292  4 O 2.34-2.59
Na 0.3883 0.0171 0.7406  4 O 2.28-2.55
O 0.2168 0.0265 0.3035  1 S 1.49
O 0.1957 0.2282 0.6979  1 S 1.46
O 0.2197 0.1945 0.8059  1 S 1.49
O 0.8067 0.7852 0.3032  1 S 1.49
S 0.6675 0.0397 0.0860  4 O 1.47-1.53
Na 0.0020 0.6268 0.2514  6 O 2.49-2.60
Si 0.0359 0.6619 0.4159  4 O 1.62-1.68
O 0.9825 0.1891 0.3042  1 S 1.49
Si 0.6365 0.9692 0.4146  4 O 1.62-1.67
O 0.1517 0.4588 0.2514  1 S 1.50
Na 0.0191 0.0102 0.0004  5 O 2.44-2.74
S 0.9628 0.3350 0.5847  4 O 1.47-1.52

Which value of magnetization does entry 1 give? 0.000 μB/f.u.